1.
DFT (r²SCAN) results for a relaxed structure of CaHg3.

Structure (extended XYZ):
```
8
Lattice="6.709 0.000 0.000 -3.354 5.810 0.000 0.000 0.000 5.083" Properties=species:S:1:pos:R:3 pbc="T T T"
Ca 0.000 3.873 1.271
Ca 3.354 1.937 3.812
Hg 0.000 1.887 3.812
Hg -1.720 4.866 3.812
Hg 1.635 0.944 1.271
Hg 1.720 4.866 3.812
Hg 5.074 0.944 1.271
Hg 3.354 3.922 1.271
```



2.
DFT (r²SCAN) results for a relaxed structure of Ca2Hg.

Structure (extended XYZ):
```
12
Lattice="7.741 0.000 0.000 0.000 5.007 0.000 0.000 0.000 9.743" Properties=species:S:1:pos:R:3 pbc="T T T"
Ca 0.197 1.252 1.710
Ca 1.166 1.252 5.550
Ca 2.705 3.755 0.678
Ca 3.674 3.755 6.581
Ca 4.067 1.252 3.162
Ca 5.037 1.252 9.064
Ca 6.576 3.755 4.193
Ca 7.545 3.755 8.033
Hg 1.911 1.252 8.598
Hg 1.960 3.755 3.727
Hg 5.781 1.252 6.016
Hg 5.831 3.755 1.145
```



3.
DFT (r²SCAN) results for a relaxed structure of CaLaHg2.

Structure (extended XYZ):
```
4
Lattice="0.000 3.834 3.834 3.834 0.000 3.834 3.834 3.834 0.000" Properties=species:S:1:pos:R:3 pbc="T T T"
Ca 0.000 0.000 0.000
La 3.834 3.834 3.834
Hg 1.917 1.917 1.917
Hg 5.751 5.751 5.751
```



no.,formation energy from the elements (eV per atom)
1,-0.423
2,-0.443
3,-0.636